Density functional theory data (PBE+U) for a relaxed YWO5 crystal. Values from VASP.

Summary:
Energy of formation (meV/atom): -2602.2
SG: P2_1/c, No. 14
Raw total energy (eV per cell): -218.03

Cell and atoms, written as Quantum ESPRESSO input:
```
&SYSTEM
  ibrav = 0, nat = 28, ntyp = 3
/
ATOMIC_SPECIES
O 16.00 O.upf
W 183.84 W.upf
Y 88.91 Y.upf
ATOMIC_POSITIONS angstrom
O -0.963 9.286 -0.972
O 1.062 3.508 -6.027
O 3.659 1.882 -2.326
O -3.560 10.911 -4.673
O 0.134 7.307 -5.923
O -1.055 4.514 -3.493
W 0.560 4.621 -2.677
O 1.154 8.279 -3.505
W 0.610 1.776 -6.176
O 2.527 11.667 -4.259
O 1.481 5.558 -4.004
W -0.461 8.173 -4.322
O -2.187 7.524 -5.427
O 0.084 11.884 -2.424
O 2.286 5.270 -1.572
Y 3.064 7.117 -3.006
O 0.015 0.910 -4.575
O -0.914 9.905 -4.471
O 1.013 2.889 -2.527
Y -1.650 12.074 -4.174
O -1.382 7.236 -2.994
O -3.233 0.839 -5.172
O 3.332 11.954 -1.827
Y 1.749 0.720 -2.825
W -0.511 11.018 -0.823
O -0.035 5.487 -1.076
O -2.428 1.127 -2.740
Y -2.965 5.677 -3.993
CELL_PARAMETERS angstrom
4.763 0.000 -2.332
-4.664 0.000 -4.667
0.000 12.794 0.000
```